## Cd2Ga2Se5 (PBE)

Data for a relaxed structure of Cd2Ga2Se5.

The space group is P2_1 (No. 4) and the conventional cell measures 7.224, 6.741 and 10.850 Å, with angles of 90.00, 109.19 and 90.00 degrees. The asymmetric unit holds Cd at (0.072, 0.000, 0.318), Cd at (0.155, 0.524, 0.119), Ga at (0.350, 0.518, 0.505), Ga at (0.479, 0.013, 0.103), Se at (0.056, 0.606, 0.327), Se at (0.150, 0.121, 0.100), Se at (0.284, 0.653, 0.700), Se at (0.354, 0.151, 0.526) and Se at (0.499, 0.647, 0.102).

As for the MP2020-corrected energy: -3.69 eV/atom. Its uncorrected energy is -61.78 eV for the cell shown. As for the mass density: 5.052 g/cm3.